DFT (PBE) results for a relaxed Na6Hf4In4Si5S7O48 crystal.

## Properties
Its space group is P1, No. 1. The energy of formation from the pure elements comes out at -2.551 eV/atom.

Unit cell a=18.0595 b=9.0016 c=23.3188 alpha=90.01 beta=89.80 gamma=119.96
Element x y z (fractional)
O1 0.9174 0.0245 0.8070
Si1 0.0010 0.7021 0.7487
O2 0.5666 0.6509 0.0733
O3 0.7420 0.3791 0.1394
O4 0.7739 0.6927 0.9699
O5 0.6527 0.4693 0.4722
Si2 0.3340 0.6345 0.5834
S1 0.6669 0.9566 0.9167
O6 0.4158 0.8065 0.3068
O7 0.2687 0.8456 0.7520
O8 0.1575 0.4569 0.4672
O9 0.6894 0.4870 0.3602
O10 0.0172 0.8440 0.4121
O11 0.7218 0.3023 0.0220
O12 0.6524 0.8440 0.2574
O13 0.7497 0.3487 0.4253
O14 0.0169 0.8291 0.6939
S2 0.3119 0.6661 0.9157
O15 0.3218 0.5139 0.9252
Si3 0.6449 0.2916 0.7506
S3 0.8553 0.7079 0.2482
Si4 0.8543 0.9957 0.7513
O16 0.3488 0.1630 0.7435
S4 0.9781 0.3310 0.5825
In1 0.1663 0.6860 0.8151
S5 0.1462 0.2902 0.7516
Si5 0.0211 0.6619 0.4142
O17 0.0792 0.9813 0.9124
O18 0.9878 0.1773 0.5877
O19 0.9915 0.8002 0.8057
In2 0.9960 0.9917 0.3540
Hf1 0.3279 0.3224 0.9778
O20 0.5570 0.6447 0.3627
O21 0.4136 0.3136 0.2440
O22 0.8501 0.5368 0.2436
O23 0.1749 0.5038 0.0731
O24 0.3497 0.5273 0.2496
O25 0.7569 0.6484 0.5725
O26 0.9272 0.4949 0.4247
O27 0.6712 0.4978 0.0760
O28 0.0937 0.2110 0.6995
In3 0.5010 0.0104 0.8512
O29 0.9937 0.8043 0.0933
S6 0.8145 0.6660 0.9185
S7 0.9824 0.6293 0.0849
O30 0.3968 0.9815 0.6972
O31 0.5785 0.1878 0.6975
O32 0.1882 0.8884 0.8617
Si6 0.1830 0.0404 0.5823
Si7 0.1909 0.3402 0.0834
O33 0.9180 0.5153 0.7434
O34 0.5879 0.9716 0.9150
O35 0.8972 0.9749 0.4124
O36 0.8185 0.5261 0.6341
O37 0.3600 0.5683 0.5257
Hf2 0.4988 0.0111 0.1488
O38 0.0582 0.4711 0.8636
Si8 0.6646 0.3692 0.4173
O39 0.6602 0.8564 0.9687
O40 0.3174 0.1106 0.1352
O41 0.0754 0.4607 0.2517
Na1 0.9957 0.3672 0.7496
Si9 0.6906 0.0418 0.5827
O42 0.0070 0.1986 0.1989
O43 0.9246 0.3097 0.5318
Na2 0.5032 0.3643 0.7530
O44 0.7622 0.6343 0.8672
Hf3 0.4986 0.0117 0.3513
O45 0.7610 0.8865 0.3633
O46 0.5742 0.6866 0.4669
In4 0.8295 0.3174 0.9880
Na3 0.6779 0.6843 0.6733
O47 0.6789 0.8809 0.8646
Na4 0.8283 0.3366 0.3395
S8 0.3539 0.0014 0.7480
Na5 0.0042 0.0097 0.9973
S9 0.5184 0.6641 0.4167
S10 0.8108 0.9576 0.4162
O48 0.2316 0.3069 0.7484
O49 0.5798 0.1779 0.4107
O50 0.2420 0.3440 0.4200
Na6 0.1724 0.6856 0.6658
O51 0.9349 0.3630 0.9237
Na7 0.1800 0.6611 0.1670
Hf4 0.8284 0.3354 0.4793
O52 0.0657 0.4825 0.5728
Si10 0.3528 0.7120 0.2513
S11 0.0187 0.3733 0.9166
O53 0.8603 0.1579 0.0270
O54 0.5131 0.1858 0.9158
O55 0.7681 0.8474 0.4669
O56 0.5743 0.6926 0.7523
Hf5 0.6645 0.6620 0.5194
In5 0.8215 0.3156 0.1762
O57 0.3974 0.8204 0.9118
O58 0.4245 0.5405 0.0329
In6 0.8242 0.3152 0.6908
O59 0.2729 0.8538 0.4685
O60 0.5858 0.4758 0.9689
O61 0.1801 0.4714 0.3634
S12 0.9974 0.2885 0.2499
Si11 0.6831 0.3287 0.0821
S13 0.6462 0.0022 0.2516
Na8 0.5042 0.0124 0.9993
O62 0.2359 0.3101 0.0279
In7 0.3322 0.3445 0.1864
O63 0.2433 0.1118 0.6383
O64 0.5043 0.8102 0.6986
O65 0.4479 0.5273 0.1361
O66 0.0748 0.4626 0.9677
O67 0.4896 0.1805 0.3058
O68 0.9300 0.5567 0.0339
In8 0.3315 0.3436 0.4918
O69 0.9100 0.8011 0.5866
O70 0.7476 0.1169 0.6386
O71 0.6031 0.0222 0.3031
Na9 0.6713 0.6582 0.1635
Hf6 0.1654 0.6651 0.0172
O72 0.4881 0.7994 0.0887
O73 0.7465 0.8489 0.0732
In9 0.6687 0.6613 0.8123
O74 0.6750 0.8469 0.5705
O75 0.7421 0.1365 0.9201
O76 0.9072 0.7834 0.3010
O77 0.7317 0.1565 0.2483
O78 0.2486 0.1494 0.9258
O79 0.9457 0.3668 0.6355
O80 0.2684 0.6891 0.9673
O81 0.2298 0.1475 0.2446
S14 0.3141 0.9629 0.4182
O82 0.4304 0.3052 0.5322
O83 0.8558 0.1767 0.7490
O84 0.4092 0.0196 0.0879
O85 0.8244 0.5120 0.9252
O86 0.6079 0.1845 0.8110
Na10 0.6631 0.2998 0.9163
O87 0.9010 0.8156 0.1977
Na11 0.4957 0.6275 0.2506
O88 0.7360 0.1617 0.5263
Hf7 0.5073 0.0000 0.6439
O89 0.7597 0.8294 0.7554
O90 0.9224 0.3141 0.2445
O91 0.6441 0.4734 0.7500
O92 0.5147 0.2032 0.1939
In10 0.3242 0.3314 0.6778
O93 0.1470 0.8376 0.2527
In11 0.1709 0.6668 0.3168
O94 0.2206 0.1384 0.5204
Na12 0.3315 0.3232 0.8364
O95 0.0878 0.6983 0.4666
Si12 0.4992 0.2974 0.2490
O96 0.4919 0.1807 0.5901
O97 0.2561 0.8649 0.0738
O98 0.1065 0.0254 0.3035
O99 0.9474 0.5290 0.1383
O100 0.0113 0.2023 0.9137
O101 0.5893 0.1542 0.0906
O102 0.0871 0.9761 0.2003
Si13 0.5199 0.3771 0.9155
Hf8 0.0013 0.0129 0.1407
In12 0.6642 0.6451 0.3164
Na13 0.3385 0.3444 0.3282
O103 0.8467 0.5460 0.5306
Si14 0.1634 0.9586 0.9176
Hf9 0.9986 0.9848 0.8504
O104 0.7713 0.6957 0.2523
O105 0.9000 0.8234 0.9127
O106 0.0944 0.1670 0.0913
Si15 0.8312 0.0352 0.0829
Hf10 0.1652 0.6745 0.5241
O107 0.2469 0.6447 0.5718
O108 0.4468 0.3650 0.6367
O109 0.0883 0.1987 0.4120
Na14 0.1649 0.0241 0.4253
O110 0.4027 0.8269 0.1942
O111 0.3991 0.9757 0.4114
O112 0.4031 0.0267 0.8016
O113 0.3462 0.1484 0.0318
S15 0.1674 0.3730 0.4168
O114 0.2438 0.3695 0.1415
Na15 0.0002 0.6316 0.2548
O115 0.9864 0.1871 0.3023
O116 0.2578 0.6942 0.2550
O117 0.1033 0.1841 0.8033
Hf11 0.6661 0.6565 0.0217
O118 0.9045 0.9779 0.6944
Na16 0.8294 0.3282 0.8226
O119 0.0844 0.6733 0.7514
O120 0.2614 0.8911 0.3658
O121 0.3146 0.5214 0.6413
O122 0.1712 0.8467 0.5760
Hf12 0.9993 0.9874 0.6497
O123 0.8222 0.1309 0.4245
O124 0.7393 0.3185 0.7479
S16 0.4819 0.3333 0.5840
Na17 0.0031 0.9962 0.5038
S17 0.4797 0.6275 0.0822
O125 0.2601 0.6340 0.8640
O126 0.8170 0.1078 0.1430
O127 0.5109 0.8203 0.4127
O128 0.1528 0.8362 0.9734
S18 0.8330 0.6264 0.5823
S19 0.3322 0.0403 0.0828
O129 0.0692 0.6489 0.0767
O130 0.5577 0.4841 0.8560
O131 0.3240 0.1366 0.4242
O132 0.4261 0.3584 0.9274
O133 0.5814 0.4945 0.2519
S20 0.1439 0.9999 0.2499
O134 0.4813 0.7780 0.8024
O135 0.0890 0.0254 0.5893
O136 0.4157 0.8275 0.5933
Na18 0.5035 0.9949 0.5030
O137 0.0595 0.6373 0.3525
O138 0.5935 0.9761 0.1994
S21 0.4960 0.7048 0.7500
O139 0.9152 0.0077 0.0927
O140 0.4339 0.5064 0.4228
O141 0.4214 0.5255 0.7440
O142 0.5945 0.0210 0.5888
O143 0.5686 0.4891 0.5758
O144 0.1522 0.4605 0.7574